! YCoC PBE optimized geometry; values from VASP
&SYSTEM
  ibrav = 0, nat = 3, ntyp = 3
/
ATOMIC_SPECIES
Y 88.91 Y.upf
Co 58.93 Co.upf
C 12.01 C.upf
CELL_PARAMETERS angstrom
3.568 0.000 0.000
0.000 3.568 0.000
0.000 0.000 3.619
ATOMIC_POSITIONS crystal
Y 0.000 0.000 0.000
Co 0.500 0.500 0.500
C 0.500 0.500 0.000
! Spin magnetization (μB/cell): 0.07



Computed, not measured: a relaxed structure of YCoC at the PBE level of DFT. Values from VASP.

Geometry as Quantum ESPRESSO input:
```
&SYSTEM
  ibrav = 0, nat = 6, ntyp = 3
/
ATOMIC_SPECIES
Y 88.91 Y.upf
Co 58.93 Co.upf
C 12.01 C.upf
CELL_PARAMETERS angstrom
3.627 0.000 0.000
0.000 3.627 0.000
0.000 0.000 6.948
ATOMIC_POSITIONS crystal
Y 0.000 0.000 0.250
Y 0.000 0.000 0.750
Co 0.500 0.500 0.000
Co 0.500 0.500 0.500
C 0.000 0.500 0.000
C 0.500 0.000 0.500
```



no.,formation energy (eV per atom)
1,-0.25
2,-0.31